No. 1
Na14Ca4Y4Si5S7O48 | GGA-PBE | relaxed

a = 9.4845 Å, b = 16.4563 Å, c = 23.4995 Å
α = 89.99°, β = 90.00°, γ = 89.98°
Sites, in units of the cell vectors:
Na 0.0000 0.0000 0.0000
Na 0.0015 0.6686 0.6705
Na 0.0215 0.3426 0.0135
Na 0.0624 0.0001 0.3317
Na 0.1548 0.8485 0.7494
Na 0.1608 0.8514 0.2475
Na 0.1663 0.4844 0.0867
Na 0.1663 0.5015 0.5874
Na 0.1713 0.1407 0.4160
Na 0.1750 0.1423 0.9218
Na 0.2735 0.9947 0.8374
Na 0.3190 0.3380 0.5059
Na 0.3209 0.6546 0.1599
Na 0.3287 0.9834 0.1683
Na 0.3309 0.0124 0.4995
Na 0.3613 0.3260 0.8368
Na 0.3638 0.6696 0.8406
Na 0.4721 0.1662 0.3347
Na 0.4743 0.8277 0.3319
Na 0.5063 0.4890 0.6774
Na 0.5057 0.5172 0.0007
Na 0.5154 0.1525 0.6668
Na 0.5395 0.8365 0.0060
Na 0.5625 0.4986 0.3289
Na 0.6585 0.6470 0.4192
Na 0.6650 0.9815 0.5910
Na 0.6747 0.3496 0.7551
Na 0.6751 0.6572 0.9265
Na 0.6771 0.9896 0.0782
Na 0.6784 0.3476 0.2424
Na 0.7715 0.5010 0.8383
Na 0.8112 0.8434 0.5139
Na 0.8273 0.5157 0.4985
Na 0.8329 0.1658 0.1658
Na 0.8392 0.4771 0.1677
Na 0.8571 0.1666 0.8395
Na 0.8583 0.1343 0.5021
Na 0.8656 0.8206 0.8348
Na 0.9619 0.6498 0.9987
Na 0.9730 0.6715 0.3333
Na 0.9744 0.3212 0.3170
Na 0.9936 0.9756 0.6740
Ca 0.1555 0.8394 0.9060
Ca 0.1627 0.1575 0.7652
Ca 0.1636 0.1626 0.2619
Ca 0.1679 0.1570 0.5726
Ca 0.1695 0.4981 0.9343
Ca 0.1706 0.8398 0.4040
Ca 0.6636 0.3386 0.9045
Ca 0.6641 0.9967 0.4335
Ca 0.6702 0.6615 0.0705
Ca 0.6712 0.3399 0.4024
Ca 0.6719 0.6625 0.7634
Ca 0.6727 0.6573 0.2636
Y 0.1535 0.8411 0.0965
Y 0.1632 0.4853 0.2301
Y 0.1633 0.4939 0.7360
Y 0.1661 0.1603 0.0724
Y 0.1677 0.8399 0.6021
Y 0.1717 0.5029 0.4344
Y 0.6664 0.3389 0.1012
Y 0.6665 0.6617 0.5730
Y 0.6679 0.9987 0.9366
Y 0.6704 0.3398 0.6003
Y 0.6701 0.9938 0.2347
Y 0.6706 0.9846 0.7318
Si 0.0092 0.3144 0.1674
Si 0.0106 0.9860 0.4996
Si 0.0120 0.0113 0.1707
Si 0.3214 0.9863 0.0010
Si 0.3257 0.0136 0.6676
Si 0.3647 0.9992 0.3353
Si 0.4693 0.4984 0.8334
Si 0.5111 0.4846 0.5013
Si 0.5112 0.5140 0.1691
Si 0.8237 0.8145 0.6663
Si 0.8247 0.5120 0.6677
Si 0.8255 0.4840 0.9995
Si 0.8566 0.8286 0.9966
Si 0.8689 0.4992 0.3371
Si 0.9679 0.0003 0.8342
S 0.0160 0.6808 0.5007
S 0.0184 0.3458 0.8357
S 0.0211 0.6474 0.8343
S 0.3148 0.6483 0.3328
S 0.3149 0.6824 0.0016
S 0.3160 0.3475 0.3379
S 0.3201 0.3154 0.6670
S 0.3621 0.6623 0.6701
S 0.3625 0.3288 0.9998
S 0.4714 0.8283 0.4996
S 0.4725 0.1629 0.1704
S 0.5126 0.8145 0.1690
S 0.5162 0.8464 0.8366
S 0.5188 0.1843 0.5013
S 0.5203 0.1483 0.8324
S 0.8147 0.1481 0.3362
S 0.8162 0.8455 0.3361
S 0.8191 0.1827 0.0008
S 0.8579 0.1669 0.6680
S 0.9709 0.3306 0.4999
S 0.9776 0.6660 0.1695
O 0.0432 0.2679 0.2273
O 0.0455 0.4007 0.7858
O 0.0467 0.0686 0.1147
O 0.0500 0.5977 0.8853
O 0.0512 0.9276 0.5545
O 0.0516 0.7262 0.4482
O 0.0557 0.4076 0.4963
O 0.0620 0.5893 0.1750
O 0.0630 0.4103 0.1664
O 0.0655 0.9173 0.8321
O 0.0668 0.0836 0.8359
O 0.0678 0.2613 0.5081
O 0.0718 0.5954 0.4986
O 0.0733 0.3840 0.8878
O 0.0740 0.2683 0.1113
O 0.0743 0.6033 0.7823
O 0.0751 0.7206 0.5518
O 0.0756 0.9452 0.4418
O 0.0778 0.0499 0.2289
O 0.0802 0.7344 0.1635
O 0.0819 0.0783 0.5024
O 0.0922 0.2671 0.8275
O 0.0938 0.9227 0.1655
O 0.0972 0.7264 0.8359
O 0.2367 0.0741 0.0070
O 0.2413 0.7277 0.3404
O 0.2437 0.2678 0.3329
O 0.2492 0.9235 0.6632
O 0.2497 0.6001 0.9996
O 0.2538 0.0550 0.7239
O 0.2548 0.9468 0.9429
O 0.2569 0.7243 0.0532
O 0.2589 0.6083 0.2816
O 0.2603 0.3884 0.3904
O 0.2620 0.2783 0.6146
O 0.2637 0.2593 0.0060
O 0.2635 0.7308 0.6599
O 0.2657 0.0821 0.3333
O 0.2677 0.4012 0.6707
O 0.2688 0.9145 0.3325
O 0.2749 0.5853 0.6725
O 0.2791 0.4059 0.9994
O 0.2819 0.7298 0.9495
O 0.2839 0.2684 0.7184
O 0.2879 0.4009 0.2884
O 0.2896 0.5948 0.3836
O 0.2908 0.9288 0.0580
O 0.3033 0.0675 0.6094
O 0.3355 0.4851 0.4993
O 0.3373 0.5124 0.1747
O 0.3539 0.8177 0.1666
O 0.3613 0.8342 0.8400
O 0.3617 0.1815 0.5053
O 0.3655 0.1635 0.8294
O 0.3660 0.4898 0.7760
O 0.3699 0.5052 0.8898
O 0.3732 0.8337 0.5485
O 0.3739 0.1515 0.1222
O 0.3912 0.8187 0.4459
O 0.3938 0.1759 0.2241
O 0.4409 0.6743 0.7224
O 0.4424 0.3187 0.9458
O 0.4590 0.0078 0.3932
O 0.4594 0.6503 0.6207
O 0.4619 0.3340 0.0485
O 0.4705 0.6623 0.3302
O 0.4705 0.3351 0.3414
O 0.4705 0.6750 0.0057
O 0.4732 0.9920 0.2800
O 0.4792 0.3177 0.6637
O 0.4946 0.9913 0.9984
O 0.4995 0.0119 0.6736
O 0.5370 0.5706 0.1130
O 0.5436 0.4254 0.5572
O 0.5436 0.8998 0.7863
O 0.5471 0.0948 0.8821
O 0.5500 0.7692 0.2221
O 0.5550 0.2315 0.4495
O 0.5559 0.9053 0.4991
O 0.5587 0.0862 0.1739
O 0.5658 0.4135 0.8319
O 0.5658 0.9008 0.1728
O 0.5679 0.5810 0.8322
O 0.5705 0.2314 0.1609
O 0.5705 0.7586 0.5053
O 0.5706 0.7766 0.1186
O 0.5722 0.8880 0.8882
O 0.5752 0.1086 0.7798
O 0.5781 0.4431 0.4442
O 0.5793 0.2252 0.5527
O 0.5796 0.1011 0.4991
O 0.5805 0.5509 0.2280
O 0.5875 0.4238 0.1634
O 0.5885 0.7672 0.8312
O 0.5910 0.5733 0.5070
O 0.5950 0.2278 0.8389
O 0.7419 0.2281 0.3392
O 0.7427 0.7662 0.3283
O 0.7464 0.4218 0.6623
O 0.7459 0.7536 0.0056
O 0.7495 0.5738 0.0032
O 0.7521 0.5503 0.7243
O 0.7556 0.2356 0.6617
O 0.7583 0.1050 0.2850
O 0.7599 0.2230 0.0520
O 0.7604 0.7705 0.6085
O 0.7613 0.8830 0.3889
O 0.7629 0.0984 0.9984
O 0.7636 0.4419 0.9415
O 0.7665 0.9157 0.9961
O 0.7691 0.9100 0.6665
O 0.7714 0.4160 0.3343
O 0.7711 0.5829 0.3374
O 0.7733 0.0906 0.6731
O 0.7847 0.2289 0.9484
O 0.7865 0.0988 0.3879
O 0.7861 0.4245 0.0545
O 0.7879 0.9005 0.2869
O 0.7905 0.7638 0.7240
O 0.7907 0.5671 0.6103
O 0.8337 0.3153 0.1638
O 0.8364 0.9934 0.5012
O 0.8375 0.0100 0.1727
O 0.8578 0.6757 0.5039
O 0.8634 0.0098 0.8897
O 0.8628 0.3323 0.8376
O 0.8664 0.6594 0.8306
O 0.8657 0.9964 0.7775
O 0.8739 0.3405 0.5494
O 0.8867 0.3169 0.4478
O 0.8868 0.6572 0.1195
O 0.8929 0.6793 0.2223
O 0.9449 0.1807 0.7191
O 0.9454 0.8098 0.9387
O 0.9470 0.1591 0.6162
O 0.9682 0.5056 0.3950
O 0.9684 0.8428 0.0496
O 0.9700 0.1598 0.3323
O 0.9713 0.8317 0.3383
O 0.9758 0.4938 0.2824
O 0.9771 0.1787 0.0045
O 0.9989 0.4920 0.0015
O 0.9992 0.5102 0.6703
O 0.9994 0.8166 0.6625

Results
Space-group type   P1, No. 1
DFT formation energy   -2.680 eV per atom
DFT total energy   -6.50 eV/atom

No. 2
Na4Ca2Y2SiS5O24 | GGA-PBE | relaxed

a = 9.2854 Å, b = 9.3015 Å, c = 23.7366 Å
α = 89.82°, β = 89.97°, γ = 60.07°
Sites, in units of the cell vectors:
Na 0.0000 0.0000 0.0000
Na 0.0059 0.0002 0.4833
Na 0.0304 0.6700 0.0930
Na 0.0415 0.2913 0.5772
Na 0.3072 0.6811 0.5674
Na 0.3139 0.3583 0.1686
Na 0.3347 0.3032 0.6598
Na 0.3430 0.0109 0.7342
Na 0.6709 0.9831 0.2534
Na 0.6909 0.6382 0.8252
Na 0.6981 0.6488 0.3234
Na 0.9699 0.3275 0.9019
Ca 0.0065 0.9880 0.3410
Ca 0.0078 0.9958 0.1497
Ca 0.3431 0.3139 0.5110
Ca 0.3446 0.3269 0.0140
Ca 0.6563 0.6727 0.9773
Ca 0.9957 0.0034 0.8445
Y 0.3154 0.3493 0.3118
Y 0.3301 0.3384 0.8104
Y 0.6544 0.6850 0.4760
Y 0.6672 0.6597 0.1787
Y 0.6737 0.6656 0.6806
Y 0.9990 0.0074 0.6478
Si 0.0013 0.3069 0.7487
Si 0.3643 0.9666 0.5842
Si 0.9968 0.6964 0.2394
S 0.0257 0.3334 0.4158
S 0.0347 0.6292 0.9144
S 0.2996 0.7008 0.7443
S 0.3087 0.0018 0.2459
S 0.3332 0.0365 0.9103
S 0.3339 0.6337 0.4163
S 0.3592 0.6693 0.0773
S 0.6378 0.3329 0.9118
S 0.6392 0.0315 0.4091
S 0.6672 0.3754 0.5780
S 0.6704 0.9627 0.0793
S 0.6965 0.9999 0.7460
S 0.6980 0.2980 0.2464
S 0.9663 0.3676 0.0745
S 0.9682 0.6657 0.5770
O 0.0083 0.1848 0.4108
O 0.0096 0.7978 0.9086
O 0.0203 0.7650 0.1789
O 0.0240 0.1873 0.6930
O 0.1137 0.3226 0.4694
O 0.1200 0.3469 0.3672
O 0.1264 0.5519 0.9668
O 0.1279 0.3666 0.0759
O 0.1304 0.5226 0.8650
O 0.1378 0.5179 0.5736
O 0.1595 0.5090 0.2495
O 0.1771 0.9795 0.5825
O 0.1779 0.0263 0.9089
O 0.1803 0.3096 0.7471
O 0.1870 0.8015 0.4119
O 0.1908 0.8206 0.0777
O 0.2032 0.7728 0.6912
O 0.2085 0.0312 0.1949
O 0.2109 0.8051 0.7928
O 0.2292 0.9852 0.2971
O 0.3196 0.1406 0.9590
O 0.3248 0.5564 0.4702
O 0.3283 0.5299 0.7494
O 0.3341 0.1547 0.5791
O 0.3361 0.5210 0.0784
O 0.3437 0.5288 0.3677
O 0.3448 0.1422 0.2516
O 0.3461 0.1185 0.8572
O 0.4469 0.6728 0.0261
O 0.4552 0.6613 0.1284
O 0.4586 0.8818 0.6437
O 0.4637 0.6936 0.7412
O 0.4648 0.8383 0.5319
O 0.4764 0.8484 0.2405
O 0.4810 0.8691 0.9126
O 0.4893 0.6447 0.4151
O 0.5115 0.3703 0.5730
O 0.5219 0.1295 0.0770
O 0.5295 0.1538 0.7481
O 0.5346 0.3016 0.2527
O 0.5428 0.3398 0.8602
O 0.5446 0.1130 0.3569
O 0.5494 0.1268 0.4594
O 0.5506 0.3289 0.9626
O 0.6519 0.4748 0.6288
O 0.6540 0.8625 0.4115
O 0.6580 0.8785 0.1316
O 0.6609 0.4817 0.9104
O 0.6617 0.4725 0.2395
O 0.6642 0.8578 0.7431
O 0.6838 0.8597 0.0299
O 0.6989 0.4518 0.5278
O 0.7766 0.1989 0.1955
O 0.7792 0.0094 0.6938
O 0.7956 0.9785 0.7963
O 0.8002 0.2275 0.2971
O 0.8067 0.0120 0.4089
O 0.8074 0.1827 0.9116
O 0.8143 0.2057 0.5835
O 0.8251 0.9739 0.0808
O 0.8265 0.6768 0.2391
O 0.8412 0.4941 0.7421
O 0.8587 0.4874 0.4155
O 0.8683 0.4760 0.1230
O 0.8694 0.6817 0.5261
O 0.8725 0.6308 0.9131
O 0.8764 0.4427 0.0211
O 0.8876 0.6404 0.6273
O 0.9588 0.8301 0.2893
O 0.9843 0.8160 0.5825
O 0.9856 0.2233 0.8067
O 0.9914 0.1990 0.0805

Results
Space-group type   P1, No. 1
DFT formation energy   -2.617 eV per atom
DFT total energy   -6.58 eV/atom

Question: Look up the DFT total energy of the first one.
Answer: -6.50 eV/atom